First-principles (PBE) data for a relaxed Cs3KZr2Si6O20 crystal, as listed in the Materials Project.

Lattice parameters (Å, degrees): 7.4661 10.8415 13.5507 89.95 90.00 90.00
Element x y z (fractional)
Zr (0.2425, 0.3075, 0.7169)
Zr (0.2428, 0.1921, 0.2113)
Zr (0.7425, 0.6925, 0.2831)
Zr (0.7428, 0.8079, 0.7887)
O (0.2349, 0.8495, 0.1532)
O (0.7349, 0.1505, 0.8468)
O (0.0336, 0.1770, 0.7347)
O (0.6252, 0.9918, 0.5962)
O (0.5653, 0.6167, 0.5783)
O (0.4417, 0.1724, 0.7322)
O (0.4145, 0.1113, 0.9238)
O (0.7610, 0.8161, 0.6284)
O (0.5336, 0.8230, 0.2653)
O (0.0562, 0.1242, 0.9264)
O (0.7431, 0.7588, 0.9370)
O (0.8919, 0.4675, 0.8619)
O (0.2562, 0.3223, 0.8734)
O (0.3919, 0.5325, 0.1381)
O (0.0318, 0.3227, 0.2302)
O (0.5460, 0.9473, 0.7976)
O (0.9145, 0.8887, 0.0762)
O (0.7399, 0.7322, 0.4356)
O (0.9330, 0.9518, 0.8025)
O (0.5474, 0.5481, 0.2904)
O (0.2610, 0.1839, 0.3716)
O (0.5562, 0.8758, 0.0736)
O (0.9417, 0.8276, 0.2678)
O (0.9562, 0.6812, 0.7698)
O (0.1252, 0.0082, 0.4038)
O (0.7420, 0.3495, 0.3471)
O (0.7562, 0.6777, 0.1266)
O (0.0474, 0.4519, 0.7096)
O (0.4562, 0.3188, 0.2302)
O (0.0653, 0.3833, 0.4217)
O (0.4330, 0.0482, 0.1975)
O (0.4237, 0.3863, 0.4224)
O (0.0460, 0.0527, 0.2024)
O (0.5318, 0.6773, 0.7698)
O (0.4323, 0.4522, 0.7075)
O (0.2431, 0.2412, 0.0630)
O (0.2399, 0.2678, 0.5644)
O (0.9323, 0.5478, 0.2925)
O (0.2420, 0.6505, 0.6529)
O (0.9237, 0.6137, 0.5776)
Si (0.9459, 0.4024, 0.3202)
Si (0.4459, 0.5976, 0.6798)
Si (0.4403, 0.9005, 0.1762)
Si (0.0395, 0.5984, 0.6815)
Si (0.7452, 0.6992, 0.5515)
Si (0.9403, 0.0995, 0.8238)
Si (0.7416, 0.7957, 0.0523)
Si (0.2416, 0.2043, 0.9477)
Si (0.0337, 0.9059, 0.1791)
Si (0.5337, 0.0941, 0.8209)
Si (0.2452, 0.3008, 0.4485)
Si (0.5395, 0.4016, 0.3185)
Cs (0.7419, 0.3165, 0.6028)
Cs (0.2353, 0.8313, 0.9196)
Cs (0.1966, 0.9598, 0.6158)
Cs (0.2419, 0.6835, 0.3972)
Cs (0.7353, 0.1687, 0.0804)
Cs (0.6966, 0.0402, 0.3842)
K (0.5187, 0.4974, 0.9109)
K (0.0187, 0.5026, 0.0891)

## Properties
ΔH_f (0 K) (eV/atom): -2.90